Computed, not measured: crystalline MnHO2 at its relaxed geometry at the PBE+U level of DFT.

Lattice parameters (Å, degrees): 6.076 6.102 9.002 89.97 90.07 90.06
Atoms (fractional coordinates):
Mn 0.781 0.250 0.249
Mn 0.218 0.750 0.751
Mn 0.281 0.248 0.251
Mn 0.499 0.470 0.001
Mn 0.001 0.029 0.500
Mn 0.999 0.529 0.500
Mn 0.499 0.971 0.999
Mn 0.718 0.749 0.750
H 0.428 0.276 0.510
H 0.924 0.227 0.988
H 0.970 0.170 0.763
H 0.073 0.725 0.011
H 0.574 0.784 0.490
H 0.044 0.670 0.239
H 0.543 0.827 0.260
H 0.454 0.330 0.738
O 0.469 0.478 0.779
O 0.195 0.776 0.529
O 0.223 0.726 0.973
O 0.471 0.946 0.778
O 0.804 0.276 0.471
O 0.974 0.022 0.721
O 0.774 0.227 0.028
O 0.529 0.976 0.220
O 0.970 0.553 0.721
O 0.303 0.222 0.029
O 0.028 0.053 0.279
O 0.724 0.775 0.528
O 0.277 0.272 0.472
O 0.695 0.723 0.971
O 0.528 0.445 0.222
O 0.029 0.522 0.280

E (MP2020) = -7.30 eV per atom
ΔE_f = -163 kJ per mole of atoms


Computed, not measured: crystalline MnHO2 at its relaxed geometry at the PBE+U level of DFT.

Lattice parameters (Å, degrees): 6.235 10.623 10.701 89.84 89.61 89.84
Atoms (fractional coordinates):
O 0.998 0.856 0.216
O 0.244 0.658 0.028
O 0.495 0.823 0.449
O 0.754 0.658 0.279
O 0.987 0.547 0.829
O 0.025 0.450 0.180
O 0.244 0.336 0.972
O 0.735 0.028 0.341
O 0.488 0.447 0.165
O 0.001 0.799 0.836
O 0.757 0.666 0.028
O 0.759 0.714 0.658
O 0.471 0.848 0.201
O 0.513 0.148 0.795
O 0.255 0.027 0.347
O 0.754 0.971 0.657
O 0.528 0.177 0.547
O 0.262 0.278 0.340
O 0.736 0.283 0.332
O 0.753 0.338 0.716
O 0.021 0.826 0.461
O 0.522 0.547 0.833
O 0.988 0.155 0.801
O 0.261 0.711 0.659
O 0.253 0.968 0.657
O 0.518 0.795 0.848
O 0.475 0.195 0.143
O 0.005 0.203 0.152
O 0.242 0.663 0.287
O 0.757 0.340 0.970
O 0.992 0.175 0.553
O 0.245 0.345 0.723
Mn 0.496 0.640 0.142
Mn 0.998 0.355 0.857
Mn 0.251 0.848 0.343
Mn 0.995 0.144 0.363
Mn 0.009 0.854 0.643
Mn 0.255 0.151 0.657
Mn 0.499 0.141 0.357
Mn 0.755 0.661 0.849
Mn 0.502 0.357 0.857
Mn 0.505 0.854 0.642
Mn 0.002 0.641 0.142
Mn 0.251 0.335 0.150
Mn 0.751 0.341 0.149
Mn 0.253 0.653 0.848
Mn 0.745 0.848 0.343
Mn 0.754 0.151 0.662
H 0.469 0.931 0.163
H 0.258 0.665 0.580
H 0.520 0.837 0.928
H 0.236 0.419 0.670
H 0.772 0.647 0.597
H 0.715 0.344 0.398
H 0.996 0.939 0.178
H 0.760 0.591 0.341
H 0.000 0.857 0.906
H 0.757 0.403 0.653
H 0.270 0.347 0.399
H 0.519 0.066 0.836
H 0.973 0.088 0.863
H 0.467 0.155 0.061
H 0.220 0.598 0.350
H 0.009 0.161 0.072

E (MP2020) = -7.25 eV per atom
ΔE_f = -158 kJ per mole of atoms


> Which value of E (MP2020) does entry 1 give?

-7.30 eV per atom